(1)
A relaxed Ti2In5 crystal, computed with PBE.

Cell: 10.932 10.932 3.138 Å, 90.00 90.00 90.00°
Atoms (fractional coordinates):
Ti (0.180, 0.320, 0.500)
Ti (0.820, 0.680, 0.500)
Ti (0.320, 0.820, 0.500)
Ti (0.680, 0.180, 0.500)
In (0.207, 0.064, 0.000)
In (0.064, 0.793, 0.000)
In (0.707, 0.436, 0.000)
In (0.564, 0.707, 0.000)
In (0.000, 0.500, 0.000)
In (0.293, 0.564, 0.000)
In (0.793, 0.936, 0.000)
In (0.436, 0.293, 0.000)
In (0.936, 0.207, 0.000)
In (0.500, 0.000, 0.000)

Summary:
Energy relative to the elements: 0.04 eV/atom



(2)
A relaxed Ho4NiSn8 crystal, computed with PBE.

Cell: 4.391 4.397 16.888 Å, 90.00 90.00 90.00°
Atoms (fractional coordinates):
Ho (0.250, 0.000, 0.097)
Ho (0.250, 0.500, 0.603)
Ho (0.750, 0.500, 0.398)
Ho (0.750, 0.000, 0.900)
Ni (0.250, 0.000, 0.310)
Sn (0.250, 0.000, 0.457)
Sn (0.250, 0.500, 0.935)
Sn (0.750, 0.500, 0.058)
Sn (0.750, 0.000, 0.575)
Sn (0.250, 0.500, 0.236)
Sn (0.250, 0.000, 0.747)
Sn (0.750, 0.000, 0.236)
Sn (0.750, 0.500, 0.755)

Summary:
Energy relative to the elements: -0.54 eV/atom



(3)
A relaxed Rb3HoO3 crystal, computed with PBE.

Cell: 7.387 7.993 11.764 Å, 85.92 90.00 90.00°
Atoms (fractional coordinates):
Rb (0.331, 0.358, 0.079)
Rb (0.622, 0.932, 0.155)
Rb (0.804, 0.375, 0.192)
Rb (0.304, 0.625, 0.308)
Rb (0.122, 0.068, 0.345)
Rb (0.831, 0.642, 0.421)
Rb (0.169, 0.358, 0.579)
Rb (0.878, 0.932, 0.655)
Rb (0.696, 0.375, 0.692)
Rb (0.196, 0.625, 0.808)
Rb (0.378, 0.068, 0.845)
Rb (0.669, 0.642, 0.921)
Ho (0.089, 0.838, 0.067)
Ho (0.589, 0.162, 0.433)
Ho (0.411, 0.838, 0.567)
Ho (0.911, 0.162, 0.933)
O (0.355, 0.747, 0.043)
O (0.049, 0.106, 0.096)
O (0.941, 0.689, 0.189)
O (0.441, 0.311, 0.311)
O (0.549, 0.894, 0.404)
O (0.855, 0.253, 0.457)
O (0.145, 0.747, 0.543)
O (0.451, 0.106, 0.596)
O (0.559, 0.689, 0.689)
O (0.059, 0.311, 0.811)
O (0.951, 0.894, 0.904)
O (0.645, 0.253, 0.957)

Summary:
Energy relative to the elements: -2.23 eV/atom
Offset from the most stable computed form: 0.0 meV/atom



(4)
A relaxed NbSe4 crystal, computed with PBE.

Cell: 8.499 8.499 19.661 Å, 90.00 90.00 90.00°
Atoms (fractional coordinates):
Nb (0.500, 0.000, 0.760)
Nb (0.500, 0.000, 0.416)
Nb (0.000, 0.500, 0.928)
Nb (0.500, 0.000, 0.072)
Nb (0.500, 0.000, 0.260)
Nb (0.000, 0.500, 0.240)
Nb (0.000, 0.500, 0.584)
Nb (0.500, 0.000, 0.572)
Nb (0.000, 0.500, 0.428)
Nb (0.000, 0.500, 0.084)
Nb (0.000, 0.500, 0.740)
Nb (0.500, 0.000, 0.916)
Se (0.763, 0.398, 0.002)
Se (0.237, 0.602, 0.002)
Se (0.102, 0.263, 0.002)
Se (0.898, 0.737, 0.002)
Se (0.781, 0.397, 0.334)
Se (0.219, 0.603, 0.334)
Se (0.103, 0.281, 0.334)
Se (0.897, 0.719, 0.334)
Se (0.719, 0.103, 0.666)
Se (0.281, 0.897, 0.666)
Se (0.397, 0.219, 0.666)
Se (0.603, 0.781, 0.666)
Se (0.758, 0.406, 0.666)
Se (0.242, 0.594, 0.666)
Se (0.094, 0.258, 0.666)
Se (0.906, 0.742, 0.666)
Se (0.594, 0.242, 0.834)
Se (0.406, 0.758, 0.834)
Se (0.258, 0.094, 0.834)
Se (0.742, 0.906, 0.834)
Se (0.602, 0.237, 0.498)
Se (0.398, 0.763, 0.498)
Se (0.263, 0.102, 0.498)
Se (0.737, 0.898, 0.498)
Se (0.906, 0.258, 0.166)
Se (0.094, 0.742, 0.166)
Se (0.242, 0.406, 0.166)
Se (0.758, 0.594, 0.166)
Se (0.737, 0.102, 0.998)
Se (0.263, 0.898, 0.998)
Se (0.398, 0.237, 0.998)
Se (0.602, 0.763, 0.998)
Se (0.897, 0.281, 0.834)
Se (0.103, 0.719, 0.834)
Se (0.219, 0.397, 0.834)
Se (0.781, 0.603, 0.834)
Se (0.742, 0.094, 0.334)
Se (0.258, 0.906, 0.334)
Se (0.406, 0.242, 0.334)
Se (0.594, 0.758, 0.334)
Se (0.898, 0.263, 0.502)
Se (0.102, 0.737, 0.502)
Se (0.237, 0.398, 0.502)
Se (0.763, 0.602, 0.502)
Se (0.603, 0.219, 0.166)
Se (0.397, 0.781, 0.166)
Se (0.281, 0.103, 0.166)
Se (0.719, 0.897, 0.166)

Summary:
Energy relative to the elements: -0.90 eV/atom



(5)
A relaxed Sr2Be2B2O7 crystal, computed with PBE.

Cell: 4.730 4.730 15.592 Å, 90.00 90.00 120.00°
Atoms (fractional coordinates):
Sr (0.000, 0.000, 0.250)
Sr (0.000, 0.000, 0.500)
Sr (0.000, 0.000, 0.000)
Sr (0.000, 0.000, 0.750)
Be (0.333, 0.667, 0.601)
Be (0.333, 0.667, 0.399)
Be (0.333, 0.667, 0.101)
Be (0.333, 0.667, 0.899)
B (0.667, 0.333, 0.136)
B (0.667, 0.333, 0.364)
B (0.667, 0.333, 0.864)
B (0.667, 0.333, 0.636)
O (0.976, 0.369, 0.637)
O (0.393, 0.024, 0.637)
O (0.631, 0.607, 0.637)
O (0.976, 0.607, 0.363)
O (0.393, 0.369, 0.363)
O (0.631, 0.607, 0.863)
O (0.631, 0.024, 0.137)
O (0.393, 0.024, 0.863)
O (0.631, 0.024, 0.363)
O (0.333, 0.667, 0.500)
O (0.393, 0.369, 0.137)
O (0.976, 0.607, 0.137)
O (0.976, 0.369, 0.863)
O (0.333, 0.667, 0.000)

Summary:
Energy relative to the elements: -3.17 eV/atom



(6)
A relaxed TiGa2 crystal, computed with PBE.

Cell: 3.935 3.935 12.533 Å, 99.03 99.03 90.00°
Atoms (fractional coordinates):
Ti (0.826, 0.326, 0.652)
Ti (0.674, 0.174, 0.348)
Ti (0.576, 0.576, 0.152)
Ti (0.424, 0.424, 0.848)
Ga (0.088, 0.088, 0.176)
Ga (0.162, 0.662, 0.324)
Ga (0.912, 0.912, 0.824)
Ga (0.338, 0.838, 0.676)
Ga (0.750, 0.750, 0.501)
Ga (0.000, 0.500, 0.001)
Ga (0.500, 0.000, 0.999)
Ga (0.250, 0.250, 0.499)

Summary:
Energy relative to the elements: -0.44 eV/atom